(1)
# K2MgF4 PBE-GGA relaxed
# - Raw total energy: -4.75 eV per atom
# - Formation enthalpy at 0 K: -325.90 kJ/mol of atoms
data_K2MgF4
_space_group_name_H-M_alt 'I 4/m m m'
_space_group_IT_number 139
_space_group_name_Hall '-I 4 2'
_cell_length_a 4.035
_cell_length_b 4.035
_cell_length_c 13.350
_cell_angle_alpha 90.00
_cell_angle_beta 90.00
_cell_angle_gamma 90.00
loop_
_atom_site_label
_atom_site_type_symbol
_atom_site_fract_x
_atom_site_fract_y
_atom_site_fract_z
K1 K 0.000 0.000 0.148
Mg1 Mg 0.000 0.000 0.500
F1 F 0.000 0.000 0.348
F2 F 0.000 0.500 0.000

***

(2)
# Na2LaTaSiP2O12 PBE-GGA relaxed
# - Raw total energy: -7.57 eV per atom
# - Formation enthalpy at 0 K: -289.35 kJ/mol of atoms
# - Total magnetic moment: 0.0 μB/f.u.
data_Na2LaTaSiP2O12
_space_group_name_H-M_alt 'C 1 c 1'
_space_group_IT_number 9
_cell_length_a 16.027
_cell_length_b 9.411
_cell_length_c 22.997
_cell_angle_alpha 90.00
_cell_angle_beta 90.30
_cell_angle_gamma 90.00
loop_
_space_group_symop_operation_xyz
'x,y,z'
'x,-y,z+1/2'
'x+1/2,y+1/2,z'
'x+1/2,-y+1/2,z+1/2'
loop_
_atom_site_label
_atom_site_type_symbol
_atom_site_fract_x
_atom_site_fract_y
_atom_site_fract_z
Na1 Na 0.000 0.003 0.000
Na2 Na 0.011 0.313 0.907
Na3 Na 0.023 0.349 0.580
Na4 Na 0.174 0.486 0.166
Na5 Na 0.344 0.308 0.247
Na6 Na 0.346 0.026 0.832
La1 La 0.013 0.011 0.351
La2 La 0.190 0.497 0.018
La3 La 0.346 0.012 0.685
Ta1 Ta 0.015 0.005 0.146
Ta2 Ta 0.177 0.500 0.313
Ta3 Ta 0.343 0.009 0.479
Si1 Si 0.023 0.292 0.750
Si2 Si 0.325 0.332 0.412
Si3 Si 0.491 0.163 0.581
P1 P 0.025 0.374 0.418
P2 P 0.154 0.173 0.247
P3 P 0.188 0.127 0.579
P4 P 0.193 0.209 0.912
P5 P 0.355 0.375 0.746
P6 P 0.361 0.292 0.085
O1 O 0.008 0.217 0.410
O2 O 0.011 0.205 0.809
O3 O 0.030 0.170 0.693
O4 O 0.068 0.404 0.475
O5 O 0.082 0.441 0.365
O6 O 0.083 0.401 0.074
O7 O 0.094 0.122 0.194
O8 O 0.105 0.037 0.585
O9 O 0.109 0.390 0.757
O10 O 0.123 0.104 0.901
O11 O 0.123 0.108 0.303
O12 O 0.150 0.340 0.252
O13 O 0.162 0.281 0.569
O14 O 0.169 0.293 0.966
O15 O 0.200 0.324 0.860
O16 O 0.237 0.113 0.635
O17 O 0.243 0.062 0.527
O18 O 0.244 0.132 0.236
O19 O 0.263 0.383 0.355
O20 O 0.273 0.468 0.748
O21 O 0.278 0.130 0.920
O22 O 0.288 0.395 0.471
O23 O 0.291 0.401 0.079
O24 O 0.321 0.151 0.421
O25 O 0.333 0.220 0.740
O26 O 0.354 0.217 0.143
O27 O 0.365 0.178 0.033
O28 O 0.401 0.398 0.803
O29 O 0.412 0.438 0.695
O30 O 0.422 0.374 0.409
O31 O 0.424 0.115 0.523
O32 O 0.440 0.040 0.917
O33 O 0.440 0.109 0.245
O34 O 0.448 0.375 0.085
O35 O 0.454 0.080 0.635
O36 O 0.489 0.339 0.591

***

(3)
# PIr2 PBE-GGA relaxed
# - Raw total energy: -8.11 eV per atom
# - Formation enthalpy at 0 K: -39.87 kJ/mol of atoms
data_PIr2
_space_group_name_H-M_alt 'F m -3 m'
_space_group_IT_number 225
_space_group_name_Hall '-F 4 2 3'
_cell_length_a 5.595
_cell_length_b 5.595
_cell_length_c 5.595
_cell_angle_alpha 90.00
_cell_angle_beta 90.00
_cell_angle_gamma 90.00
loop_
_atom_site_label
_atom_site_type_symbol
_atom_site_fract_x
_atom_site_fract_y
_atom_site_fract_z
P1 P 0.000 0.000 0.000
Ir1 Ir 0.250 0.250 0.250

***

(4)
# Tb3V4Fe32 PBE-GGA relaxed
# - Raw total energy: -8.30 eV per atom
# - Formation enthalpy at 0 K: -5.69 kJ/mol of atoms
# - Total magnetic moment: 57.9 μB/f.u.
data_Tb3V4Fe32
_space_group_name_H-M_alt 'C 1 m 1'
_space_group_IT_number 8
_cell_length_a 11.989
_cell_length_b 4.665
_cell_length_c 18.915
_cell_angle_alpha 90.00
_cell_angle_beta 108.22
_cell_angle_gamma 90.00
loop_
_space_group_symop_operation_xyz
'x,y,z'
'x,-y,z'
'x+1/2,y+1/2,z'
'x+1/2,-y+1/2,z'
loop_
_atom_site_label
_atom_site_type_symbol
_atom_site_fract_x
_atom_site_fract_y
_atom_site_fract_z
Tb1 Tb 0.000 0.000 0.000
Tb2 Tb 0.163 0.500 0.332
Tb3 Tb 0.334 0.000 0.667
V1 V 0.091 0.000 0.545
V2 V 0.250 0.500 0.875
V3 V 0.402 0.500 0.452
V4 V 0.416 0.000 0.208
Fe1 Fe 0.011 0.000 0.255
Fe2 Fe 0.044 0.500 0.451
Fe3 Fe 0.071 0.500 0.923
Fe4 Fe 0.072 0.500 0.786
Fe5 Fe 0.080 0.250 0.165
Fe6 Fe 0.080 0.250 0.665
Fe7 Fe 0.088 0.000 0.407
Fe8 Fe 0.116 0.000 0.878
Fe9 Fe 0.149 0.500 0.074
Fe10 Fe 0.178 0.500 0.589
Fe11 Fe 0.210 0.000 0.784
Fe12 Fe 0.238 0.000 0.257
Fe13 Fe 0.239 0.000 0.119
Fe14 Fe 0.246 0.249 0.498
Fe15 Fe 0.247 0.250 0.998
Fe16 Fe 0.255 0.500 0.740
Fe17 Fe 0.283 0.500 0.212
Fe18 Fe 0.315 0.000 0.407
Fe19 Fe 0.344 0.000 0.922
Fe20 Fe 0.376 0.500 0.118
Fe21 Fe 0.405 0.500 0.589
Fe22 Fe 0.414 0.250 0.332
Fe23 Fe 0.414 0.250 0.832
Fe24 Fe 0.421 0.000 0.073
Fe25 Fe 0.449 0.000 0.545
Fe26 Fe 0.482 0.500 0.741

***

(5)
# Y2MgAl PBE-GGA relaxed
# - Raw total energy: -4.87 eV per atom
# - Formation enthalpy at 0 K: -28.89 kJ/mol of atoms
data_Y2MgAl
_space_group_name_H-M_alt 'F m -3 m'
_space_group_IT_number 225
_space_group_name_Hall '-F 4 2 3'
_cell_length_a 7.369
_cell_length_b 7.369
_cell_length_c 7.369
_cell_angle_alpha 90.00
_cell_angle_beta 90.00
_cell_angle_gamma 90.00
loop_
_atom_site_label
_atom_site_type_symbol
_atom_site_fract_x
_atom_site_fract_y
_atom_site_fract_z
Y1 Y 0.250 0.250 0.250
Mg1 Mg 0.000 0.000 0.000
Al1 Al 0.000 0.000 0.500

***

(6)
# NaNpCO5 PBE-GGA relaxed
# - Raw total energy: -8.25 eV per atom
# - Formation enthalpy at 0 K: -255.72 kJ/mol of atoms
# - Total magnetic moment: 2.0 μB/f.u.
data_NaNpCO5
_space_group_name_H-M_alt 'P m n 21'
_space_group_IT_number 31
_cell_length_a 4.927
_cell_length_b 4.393
_cell_length_c 11.036
_cell_angle_alpha 90.00
_cell_angle_beta 90.00
_cell_angle_gamma 90.00
loop_
_space_group_symop_operation_xyz
'x,y,z'
'-x+1/2,-y,z+1/2'
'-x,y,z'
'x+1/2,-y,z+1/2'
loop_
_atom_site_label
_atom_site_type_symbol
_atom_site_fract_x
_atom_site_fract_y
_atom_site_fract_z
Na1 Na 0.000 0.240 0.000
Np1 Np 0.000 0.720 0.255
C1 C 0.000 0.900 0.750
O1 O 0.000 0.195 0.772
O2 O 0.000 0.720 0.422
O3 O 0.000 0.728 0.086
O4 O 0.234 0.772 0.740

***

(7)
# Ba2HoRuO6 PBE-GGA relaxed
# - Raw total energy: -7.18 eV per atom
# - Formation enthalpy at 0 K: -275.71 kJ/mol of atoms
# - Total magnetic moment: 3.0 μB/f.u.
data_Ba2HoRuO6
_space_group_name_H-M_alt 'F m -3 m'
_space_group_IT_number 225
_space_group_name_Hall '-F 4 2 3'
_cell_length_a 8.427
_cell_length_b 8.427
_cell_length_c 8.427
_cell_angle_alpha 90.00
_cell_angle_beta 90.00
_cell_angle_gamma 90.00
loop_
_atom_site_label
_atom_site_type_symbol
_atom_site_fract_x
_atom_site_fract_y
_atom_site_fract_z
Ba1 Ba 0.250 0.250 0.250
Ho1 Ho 0.000 0.000 0.000
Ru1 Ru 0.000 0.000 0.500
O1 O 0.000 0.000 0.264

***

(8)
# RbScAs2O7 PBE-GGA relaxed
# - Raw total energy: -6.61 eV per atom
# - Formation enthalpy at 0 K: -230.70 kJ/mol of atoms
# - Total magnetic moment: 0.0 μB/f.u.
data_RbScAs2O7
_space_group_name_H-M_alt 'P 1 21/c 1'
_space_group_IT_number 14
_cell_length_a 7.973
_cell_length_b 10.798
_cell_length_c 8.936
_cell_angle_alpha 90.00
_cell_angle_beta 106.52
_cell_angle_gamma 90.00
loop_
_space_group_symop_operation_xyz
'x,y,z'
'-x,-y,-z'
'-x,y+1/2,-z+1/2'
'x,-y+1/2,z+1/2'
loop_
_atom_site_label
_atom_site_type_symbol
_atom_site_fract_x
_atom_site_fract_y
_atom_site_fract_z
Rb1 Rb 0.172 0.180 0.050
Sc1 Sc 0.236 0.600 0.264
As1 As 0.138 0.592 0.835
As2 As 0.443 0.638 0.691
O1 O 0.000 0.013 0.222
O2 O 0.086 0.735 0.755
O3 O 0.149 0.587 0.025
O4 O 0.309 0.608 0.510
O5 O 0.351 0.549 0.820
O6 O 0.352 0.081 0.778
O7 O 0.452 0.712 0.252

***

(9)
# Pr2Re3Si5 PBE-GGA relaxed
# - Raw total energy: -7.95 eV per atom
# - Formation enthalpy at 0 K: -49.58 kJ/mol of atoms
data_Pr2Re3Si5
_space_group_name_H-M_alt 'P 4/m n c'
_space_group_IT_number 128
_space_group_name_Hall '-P 4 2n'
_cell_length_a 11.061
_cell_length_b 11.061
_cell_length_c 5.803
_cell_angle_alpha 90.00
_cell_angle_beta 90.00
_cell_angle_gamma 90.00
loop_
_atom_site_label
_atom_site_type_symbol
_atom_site_fract_x
_atom_site_fract_y
_atom_site_fract_z
Pr1 Pr 0.076 0.238 0.000
Re1 Re 0.000 0.500 0.250
Re2 Re 0.126 0.852 0.500
Si1 Si 0.000 0.000 0.267
Si2 Si 0.021 0.318 0.500
Si3 Si 0.173 0.673 0.250

***

(10)
# Sr2Mg PBE-GGA relaxed
# - Raw total energy: -1.69 eV per atom
# - Formation enthalpy at 0 K: -3.38 kJ/mol of atoms
data_Sr2Mg
_space_group_name_H-M_alt 'I 4/m m m'
_space_group_IT_number 139
_space_group_name_Hall '-I 4 2'
_cell_length_a 4.232
_cell_length_b 4.232
_cell_length_c 14.298
_cell_angle_alpha 90.00
_cell_angle_beta 90.00
_cell_angle_gamma 90.00
loop_
_atom_site_label
_atom_site_type_symbol
_atom_site_fract_x
_atom_site_fract_y
_atom_site_fract_z
Sr1 Sr 0.000 0.000 0.143
Mg1 Mg 0.000 0.000 0.500

***

(11)
# KS PBE-GGA relaxed
# - Raw total energy: -3.14 eV per atom
# - Formation enthalpy at 0 K: -74.18 kJ/mol of atoms
# - Total magnetic moment: 0.0 μB/f.u.
data_KS
_space_group_name_H-M_alt 'P 4/m m m'
_space_group_IT_number 123
_space_group_name_Hall '-P 4 2'
_cell_length_a 3.386
_cell_length_b 3.386
_cell_length_c 4.439
_cell_angle_alpha 90.00
_cell_angle_beta 90.00
_cell_angle_gamma 90.00
loop_
_atom_site_label
_atom_site_type_symbol
_atom_site_fract_x
_atom_site_fract_y
_atom_site_fract_z
K1 K 0.000 0.000 0.000
S1 S 0.500 0.500 0.500

***

(12)
# SrCaSmBiO6 PBE-GGA relaxed
# - Raw total energy: -6.51 eV per atom
# - Formation enthalpy at 0 K: -262.74 kJ/mol of atoms
# - Total magnetic moment: 0.0 μB/f.u.
data_SrCaSmBiO6
_space_group_name_H-M_alt 'P 4 21 2'
_space_group_IT_number 90
_cell_length_a 5.987
_cell_length_b 5.987
_cell_length_c 8.713
_cell_angle_alpha 90.00
_cell_angle_beta 90.00
_cell_angle_gamma 90.00
loop_
_space_group_symop_operation_xyz
'x,y,z'
'-y+1/2,x+1/2,z'
'-x,-y,z'
'y+1/2,-x+1/2,z'
'x+1/2,-y+1/2,-z'
'-y,-x,-z'
'-x+1/2,y+1/2,-z'
'y,x,-z'
loop_
_atom_site_label
_atom_site_type_symbol
_atom_site_fract_x
_atom_site_fract_y
_atom_site_fract_z
Sr1 Sr 0.000 0.000 0.000
Ca1 Ca 0.000 0.000 0.500
Sm1 Sm 0.000 0.500 0.253
Bi1 Bi 0.000 0.500 0.746
O1 O 0.000 0.500 0.506
O2 O 0.000 0.500 0.991
O3 O 0.158 0.820 0.743